Entry from the Materials Project database: a relaxed structure of Pr5C2Br8 (PBE).

Unit cell a=9.293 b=12.451 c=17.092 alpha=100.13 beta=90.11 gamma=95.80
Positions (direct):
1 Pr 0.823 0.732 0.559
2 Pr 0.380 0.352 0.037
3 Pr 0.446 0.260 0.246
4 Pr 0.260 0.006 0.302
5 Pr 0.554 0.740 0.754
6 Pr 0.915 0.115 0.275
7 Pr 0.341 0.487 0.800
8 Pr 0.586 0.435 0.618
9 Pr 0.659 0.513 0.200
10 Pr 0.620 0.648 0.963
11 Pr 0.740 0.994 0.698
12 Pr 0.085 0.885 0.725
13 Pr 0.165 0.066 0.093
14 Pr 0.177 0.268 0.441
15 Pr 0.683 0.373 0.823
16 Pr 0.871 0.631 0.773
17 Pr 0.414 0.565 0.382
18 Pr 0.317 0.627 0.177
19 Pr 0.835 0.934 0.907
20 Pr 0.129 0.369 0.227
21 Br 0.290 0.073 0.476
22 Br 0.869 0.207 0.445
23 Br 0.497 0.644 0.570
24 Br 0.037 0.095 0.686
25 Br 0.963 0.905 0.314
26 Br 0.070 0.275 0.046
27 Br 0.698 0.434 0.013
28 Br 0.663 0.230 0.662
29 Br 0.270 0.376 0.632
30 Br 0.251 0.859 0.135
31 Br 0.522 0.855 0.929
32 Br 0.002 0.571 0.181
33 Br 0.427 0.946 0.719
34 Br 0.785 0.313 0.231
35 Br 0.930 0.725 0.954
36 Br 0.998 0.429 0.819
37 Br 0.710 0.927 0.524
38 Br 0.850 0.003 0.100
39 Br 0.896 0.511 0.597
40 Br 0.215 0.687 0.769
41 Br 0.337 0.770 0.338
42 Br 0.730 0.624 0.368
43 Br 0.150 0.997 0.900
44 Br 0.749 0.141 0.865
45 Br 0.302 0.566 0.987
46 Br 0.382 0.275 0.847
47 Br 0.618 0.725 0.153
48 Br 0.104 0.489 0.403
49 Br 0.478 0.145 0.071
50 Br 0.573 0.054 0.281
51 Br 0.131 0.793 0.555
52 Br 0.503 0.356 0.430
53 C 0.822 0.845 0.776
54 C 0.398 0.476 0.251
55 C 0.178 0.155 0.224
56 C 0.602 0.524 0.749
57 C 0.818 0.796 0.695
58 C 0.609 0.573 0.830
59 C 0.391 0.427 0.170
60 C 0.182 0.204 0.305

Summary:
Calculated volume ... 1936.5 Å³/cell
Formation energy ... -1836 meV per atom



Entry from the Materials Project database: a relaxed structure of NiI2N2 (PBE).

Unit cell a=3.553 b=4.838 c=4.838 alpha=82.45 beta=90.00 gamma=90.00
Positions (direct):
1 Ni 0.000 0.000 0.000
2 N 0.000 0.720 0.280
3 N 0.000 0.280 0.720
4 I 0.500 0.716 0.716
5 I 0.500 0.284 0.284

Summary:
Calculated volume ... 82.5 Å³/cell
Distance to the lowest polymorph of the same formula ... 0.296 eV per atom
Formation energy ... 1327 meV per atom



Entry from the Materials Project database: a relaxed structure of SrBrO5 (PBE).

Unit cell a=4.688 b=7.662 c=7.817 alpha=117.40 beta=103.82 gamma=93.79
Positions (direct):
1 O 0.501 0.799 0.918
2 O 0.550 0.224 0.872
3 O 0.210 0.176 0.049
4 O 0.717 0.792 0.232
5 O 0.499 0.201 0.082
6 O 0.790 0.824 0.951
7 O 0.450 0.776 0.128
8 O 0.253 0.826 0.506
9 O 0.747 0.174 0.494
10 O 0.283 0.208 0.768
11 Br 0.186 0.553 0.317
12 Br 0.814 0.447 0.683
13 Sr 0.180 0.087 0.351
14 Sr 0.820 0.913 0.649

Summary:
Calculated volume ... 237.0 Å³/cell
Distance to the lowest polymorph of the same formula ... 0.005 eV per atom
Formation energy ... -886 meV per atom



Entry from the Materials Project database: a relaxed structure of Rb2NaMoCl6 (PBE).

Unit cell a=7.396 b=7.396 c=7.396 alpha=60.00 beta=60.00 gamma=60.00
Positions (direct):
1 Cl 0.236 0.764 0.236
2 Cl 0.764 0.236 0.764
3 Cl 0.764 0.236 0.236
4 Cl 0.236 0.764 0.764
5 Cl 0.764 0.764 0.236
6 Cl 0.236 0.236 0.764
7 Mo 0.000 0.000 0.000
8 Na 0.500 0.500 0.500
9 Rb 0.750 0.750 0.750
10 Rb 0.250 0.250 0.250

Summary:
Calculated volume ... 286.0 Å³/cell
Formation energy ... -1879 meV per atom



Entry from the Materials Project database: a relaxed structure of La7I3O18 (PBE).

Unit cell a=16.402 b=16.402 c=4.251 alpha=90.00 beta=90.00 gamma=120.00
Positions (direct):
1 O 0.868 0.019 0.750
2 O 0.728 0.908 0.250
3 O 0.767 0.174 0.250
4 O 0.092 0.820 0.250
5 O 0.593 0.767 0.750
6 O 0.151 0.132 0.750
7 O 0.908 0.180 0.750
8 O 0.681 0.443 0.750
9 O 0.740 0.035 0.750
10 O 0.174 0.407 0.750
11 O 0.319 0.557 0.250
12 O 0.035 0.294 0.250
13 O 0.820 0.728 0.750
14 O 0.019 0.151 0.250
15 O 0.633 0.172 0.250
16 O 0.260 0.965 0.250
17 O 0.272 0.092 0.750
18 O 0.367 0.828 0.750
19 O 0.826 0.593 0.250
20 O 0.539 0.367 0.250
21 O 0.180 0.272 0.250
22 O 0.706 0.740 0.250
23 O 0.762 0.319 0.750
24 O 0.981 0.849 0.750
25 O 0.849 0.868 0.250
26 O 0.828 0.461 0.250
27 O 0.407 0.233 0.250
28 O 0.965 0.706 0.750
29 O 0.233 0.826 0.750
30 O 0.294 0.260 0.750
31 O 0.172 0.539 0.750
32 O 0.461 0.633 0.750
33 O 0.557 0.238 0.750
34 O 0.132 0.981 0.250
35 O 0.238 0.681 0.250
36 O 0.443 0.762 0.250
37 I 0.346 0.452 0.250
38 I 0.452 0.106 0.750
39 I 0.106 0.654 0.250
40 I 0.894 0.346 0.750
41 I 0.548 0.894 0.250
42 I 0.654 0.548 0.750
43 La 0.914 0.765 0.250
44 La 0.544 0.685 0.250
45 La 0.086 0.235 0.750
46 La 0.149 0.914 0.750
47 La 0.859 0.544 0.750
48 La 0.685 0.141 0.750
49 La 0.456 0.315 0.750
50 La 0.765 0.851 0.750
51 La 0.333 0.667 0.750
52 La 0.851 0.086 0.250
53 La 0.315 0.859 0.250
54 La 0.667 0.333 0.250
55 La 0.141 0.456 0.250
56 La 0.235 0.149 0.250

Summary:
Calculated volume ... 990.5 Å³/cell
Distance to the lowest polymorph of the same formula ... 0.108 eV per atom
Formation energy ... -2147 meV per atom



Entry from the Materials Project database: a relaxed structure of SrBi6P4O20 (PBE).

Unit cell a=7.051 b=7.743 c=9.283 alpha=107.14 beta=93.08 gamma=112.22
Positions (direct):
1 O 0.787 0.320 0.241
2 O 0.483 0.125 0.645
3 O 0.553 0.527 0.362
4 O 0.320 0.407 0.904
5 O 0.121 0.326 0.156
6 O 0.047 0.291 0.416
7 O 0.871 0.237 0.721
8 O 0.647 0.177 0.916
9 O 0.447 0.473 0.638
10 O 0.680 0.593 0.096
11 O 0.353 0.823 0.084
12 O 0.213 0.680 0.759
13 O 0.879 0.674 0.844
14 O 0.129 0.763 0.279
15 O 0.623 0.882 0.688
16 O 0.517 0.875 0.355
17 O 0.853 0.001 0.169
18 O 0.377 0.118 0.312
19 O 0.953 0.709 0.584
20 O 0.147 0.999 0.831
21 Bi 0.563 0.707 0.913
22 Bi 0.437 0.293 0.087
23 Bi 0.668 0.373 0.489
24 Bi 0.332 0.627 0.511
25 Bi 0.806 0.804 0.325
26 Bi 0.194 0.196 0.675
27 P 0.654 0.103 0.743
28 P 0.952 0.231 0.243
29 P 0.346 0.897 0.257
30 P 0.048 0.769 0.757
31 Sr 0.000 0.500 0.000

Summary:
Calculated volume ... 440.4 Å³/cell
Formation energy ... -2403 meV per atom